Record 1
Material: NaFePH2C2O6
Method: DFT, PBE with a Hubbard U
State: relaxed

Lattice parameters (Å, degrees): 9.820 11.181 10.373 90.00 90.00 90.00
Space group Pbca (No. 61)
Unique sites:
Na1 0.085 0.074 0.123 x8
Fe1 0.084 0.108 0.677 x8
P1 0.220 0.041 0.401 x8
H1 0.181 0.745 0.216 x8
H2 0.225 0.747 0.930 x8
C1 0.057 0.241 0.406 x8
C2 0.201 0.205 0.370 x8
O1 0.019 0.232 0.523 x8
O2 0.020 0.722 0.685 x8
O3 0.101 0.515 0.829 x8
O4 0.140 0.501 0.349 x8
O5 0.216 0.027 0.550 x8
O6 0.220 0.232 0.235 x8

Properties
Its total moment is 0.308 μB/atom. The calculated formation energy is -1.66 eV/atom.

Record 2
Material: Li3V3P8O29
Method: DFT, PBE with a Hubbard U
State: relaxed

Lattice parameters (Å, degrees): 9.763 9.763 14.208 89.66 89.50 60.10
Space group P1 (No. 1)
Unique sites:
Li1 0.000 0.000 0.000 x1
Li2 0.005 0.552 0.453 x1
Li3 0.339 0.468 0.112 x1
Li4 0.634 0.287 0.552 x1
Li5 0.674 0.230 0.054 x1
Li6 0.902 0.919 0.612 x1
V1 0.106 0.233 0.306 x1
V2 0.113 0.793 0.804 x1
V3 0.237 0.229 0.801 x1
V4 0.244 0.665 0.309 x1
V5 0.672 0.797 0.299 x1
V6 0.675 0.670 0.809 x1
P1 0.005 0.568 0.688 x1
P2 0.013 0.564 0.187 x1
P3 0.337 0.900 0.922 x1
P4 0.342 0.900 0.424 x1
P5 0.359 0.453 0.896 x1
P6 0.367 0.317 0.403 x1
P7 0.450 0.152 0.216 x1
P8 0.458 0.539 0.717 x1
P9 0.592 0.008 0.716 x1
P10 0.593 0.532 0.212 x1
P11 0.758 0.453 0.398 x1
P12 0.758 0.928 0.901 x1
P13 0.895 0.912 0.395 x1
P14 0.896 0.314 0.895 x1
P15 0.978 0.148 0.709 x1
P16 0.987 0.005 0.216 x1
O1 0.001 0.576 0.583 x1
O2 0.005 0.721 0.726 x1
O3 0.014 0.419 0.237 x1
O4 0.018 0.559 0.083 x1
O5 0.020 0.970 0.719 x1
O6 0.021 0.144 0.227 x1
O7 0.049 0.748 0.381 x1
O8 0.058 0.307 0.883 x1
O9 0.134 0.154 0.723 x1
O10 0.142 0.848 0.233 x1
O11 0.151 0.420 0.729 x1
O12 0.163 0.564 0.227 x1
O13 0.186 0.901 0.879 x1
O14 0.201 0.051 0.378 x1
O15 0.203 0.613 0.879 x1
O16 0.204 0.326 0.393 x1
O17 0.289 0.159 0.228 x1
O18 0.294 0.695 0.730 x1
O19 0.322 0.905 0.026 x1
O20 0.323 0.318 0.882 x1
O21 0.328 0.493 0.388 x1
O22 0.330 0.757 0.379 x1
O23 0.336 0.046 0.874 x1
O24 0.339 0.898 0.528 x1
O25 0.415 0.576 0.221 x1
O26 0.416 0.141 0.722 x1
O27 0.432 0.448 0.988 x1
O28 0.463 0.246 0.488 x1
O29 0.465 0.239 0.134 x1
O30 0.469 0.447 0.632 x1
O31 0.471 0.229 0.311 x1
O32 0.475 0.437 0.811 x1
O33 0.485 0.753 0.880 x1
O34 0.492 0.886 0.375 x1
O35 0.584 0.975 0.221 x1
O36 0.589 0.583 0.727 x1
O37 0.596 0.848 0.730 x1
O38 0.601 0.687 0.225 x1
O39 0.665 0.436 0.126 x1
O40 0.673 0.032 0.809 x1
O41 0.675 0.433 0.306 x1
O42 0.679 0.017 0.632 x1
O43 0.681 0.434 0.483 x1
O44 0.689 0.025 0.987 x1
O45 0.749 0.774 0.889 x1
O46 0.755 0.882 0.385 x1
O47 0.764 0.490 0.889 x1
O48 0.765 0.608 0.387 x1
O49 0.859 0.572 0.735 x1
O50 0.863 0.710 0.232 x1
O51 0.874 0.233 0.802 x1
O52 0.877 0.023 0.306 x1
O53 0.881 0.227 0.978 x1
O54 0.886 0.219 0.623 x1
O55 0.894 0.990 0.485 x1
O56 0.908 0.016 0.126 x1
O57 0.936 0.318 0.388 x1
O58 0.936 0.883 0.890 x1

Properties
Its total moment is 0.000 μB/atom. The calculation puts the energy above the lowest structure with this stoichiometry at 0.013 eV per atom. The calculated formation energy is -2.52 eV/atom.

Record 3
Material: BaMnAlF7
Method: DFT, PBE with a Hubbard U
State: relaxed

Lattice parameters (Å, degrees): 13.883 5.286 14.708 90.00 91.29 90.00
Space group C2/c (No. 15)
Unique sites:
Ba1 0.190 0.040 0.122 x8
Mn1 0.000 0.452 0.750 x4
Mn2 0.000 0.500 0.000 x4
Al1 0.120 0.007 0.875 x8
F1 0.001 0.105 0.656 x8
F2 0.060 0.420 0.129 x8
F3 0.083 0.168 0.476 x8
F4 0.120 0.268 0.301 x8
F5 0.129 0.293 0.951 x8
F6 0.162 0.209 0.781 x8
F7 0.245 0.054 0.409 x8

Properties
Its total moment is 0.500 μB/atom. The calculated formation energy is -3.71 eV/atom.

Record 4
Material: Mn2ZnO4
Method: DFT, PBE with a Hubbard U
State: relaxed

Lattice parameters (Å, degrees): 6.088 10.308 5.176 90.00 90.00 90.00
Space group Pmmn (No. 59, origin choice 2)
Unique sites:
Mn1 0.000 0.000 0.000 x4
Mn2 0.250 0.014 0.487 x4
Zn1 0.250 0.250 0.836 x2
Zn2 0.250 0.750 0.506 x2
O1 0.001 0.113 0.688 x8
O2 0.250 0.098 0.142 x4
O3 0.250 0.602 0.765 x4

Properties
Its total moment is 1.143 μB/atom. The calculation puts the energy above the lowest structure with this stoichiometry at 0.185 eV per atom. The calculated formation energy is -1.80 eV/atom.

Record 5
Material: LiCrB3H3O9
Method: DFT, PBE with a Hubbard U
State: relaxed

Lattice parameters (Å, degrees): 11.652 9.215 14.164 90.00 90.00 90.00
Space group Pbcn (No. 60)
Unique sites:
Li1 0.000 0.002 0.250 x4
Li2 0.000 0.330 0.750 x4
Cr1 0.237 0.157 0.673 x8
B1 0.146 0.031 0.425 x8
B2 0.147 0.469 0.918 x8
B3 0.244 0.409 0.554 x8
H1 0.019 0.437 0.584 x8
H2 0.024 0.060 0.077 x8
H3 0.198 0.214 0.301 x8
O1 0.045 0.070 0.381 x8
O2 0.049 0.418 0.875 x8
O3 0.104 0.165 0.713 x8
O4 0.142 0.448 0.498 x8
O5 0.147 0.042 0.009 x8
O6 0.161 0.284 0.257 x8
O7 0.232 0.474 0.650 x8
O8 0.246 0.249 0.066 x8
O9 0.247 0.068 0.378 x8

Properties
Its total moment is 0.059 μB/atom. The calculated formation energy is -2.15 eV/atom.

Record 6
Material: Pr8Ni4O17
Method: DFT, PBE with a Hubbard U
State: relaxed

Lattice parameters (Å, degrees): 5.814 5.891 12.416 91.60 92.34 90.89
Space group P1 (No. 1)
Unique sites:
Pr1 0.000 0.000 0.000 x1
Pr2 0.012 0.457 0.508 x1
Pr3 0.048 0.019 0.705 x1
Pr4 0.095 0.526 0.228 x1
Pr5 0.535 0.908 0.532 x1
Pr6 0.560 0.451 0.002 x1
Pr7 0.591 0.490 0.724 x1
Pr8 0.612 0.972 0.230 x1
Ni1 0.047 0.485 0.908 x1
Ni2 0.110 0.019 0.349 x1
Ni3 0.516 0.968 0.884 x1
Ni4 0.579 0.496 0.329 x1
O1 0.003 0.905 0.186 x1
O2 0.181 0.088 0.514 x1
O3 0.270 0.256 0.872 x1
O4 0.282 0.736 0.943 x1
O5 0.341 0.767 0.355 x1
O6 0.353 0.248 0.297 x1
O7 0.366 0.563 0.575 x1
O8 0.422 0.883 0.733 x1
O9 0.513 0.588 0.173 x1
O10 0.595 0.060 0.046 x1
O11 0.764 0.232 0.606 x1
O12 0.772 0.183 0.845 x1
O13 0.785 0.695 0.894 x1
O14 0.801 0.719 0.385 x1
O15 0.852 0.271 0.332 x1
O16 0.853 0.715 0.637 x1
O17 0.984 0.392 0.058 x1

Properties
Its total moment is 0.207 μB/atom. The calculated formation energy is -2.80 eV/atom.